No. 1
Entry from the Materials Project database: a geometry-optimized Li5Fe2P2C2O14 structure (GGA+U).

abc: 8.2510 8.2623 9.4099
angles: 105.41 107.02 104.53
Closest atoms and distances in Å follow each position.
Space group P-1 (No. 2)
Asymmetric unit:
Li (0.0261, 0.0116, 0.2667)  5 O 2.06-2.23
Li (0.1836, 0.4377, 0.8962)  3 O 1.94-2.11
Li (0.2548, 0.7660, 0.2693)  3 O 2.02-2.20
Li (0.3105, 0.0523, 0.0958)  4 O 1.98-2.22
Li (0.4647, 0.5096, 0.7192)  3 O 2.00-2.08
Fe (0.1806, 0.4319, 0.3320)  6 O 2.09-2.30
Fe (0.3082, 0.0538, 0.6686)  6 O 1.96-2.19
P (0.0580, 0.2958, 0.5863)  4 O 1.54-1.57
P (0.4443, 0.1943, 0.4190)  4 O 1.54-1.58
C (0.0059, 0.7637, 0.9690)  3 O 1.29-1.31
C (0.4983, 0.7340, 0.0441)  3 O 1.26-1.32
O (0.0275, 0.8154, 0.8544)  1 C 1.30
O (0.0315, 0.6057, 0.3138)  1 P 1.55
O (0.0807, 0.8469, 0.5786)  1 P 1.56
O (0.1165, 0.8608, 0.1166)  1 C 1.31
O (0.1228, 0.3856, 0.0670)  1 C 1.29
O (0.1501, 0.2050, 0.6978)  1 P 1.57
O (0.2050, 0.4221, 0.5564)  1 P 1.54
O (0.2938, 0.0673, 0.4526)  1 P 1.58
O (0.3584, 0.2839, 0.3080)  1 P 1.54
O (0.3681, 0.1186, 0.9239)  1 C 1.31
O (0.4063, 0.6160, 0.9062)  1 C 1.26
O (0.4093, 0.6695, 0.4198)  1 P 1.54
O (0.4673, 0.7174, 0.1707)  1 C 1.32
O (0.4843, 0.9288, 0.6834)  1 P 1.56

## Properties
- Energy of formation from the pure elements: -57.831 eV/f.u.
- Mass density: 2.74 g cm⁻³
- Electronic total energy: -6.7497 eV/atom

No. 2
Entry from the Materials Project database: a geometry-optimized Sr2HfMgCrO6 structure (GGA+U).

abc: 5.3975 5.6349 6.3340
angles: 116.00 109.18 90.41
Closest atoms and distances in Å follow each position.
Space group P1 (No. 1)
Asymmetric unit:
Sr (0.0000, 0.0000, 0.0000)  3 O 2.43-2.57
Sr (0.3746, 0.4304, 0.8517)  3 O 2.42-2.56
Hf (0.1871, 0.7201, 0.4271)  6 O 2.03-2.15
Mg (0.6869, 0.7205, 0.4264)  6 O 2.05-2.23
Cr (0.6871, 0.2184, 0.4269)  4 O 2.08
O (0.3899, 0.3974, 0.2790)  1 Mg 2.06, 1 Cr 2.08, 1 Hf 2.14
O (0.3915, 0.8864, 0.2701)  1 Mg 2.05, 1 Cr 2.08, 1 Hf 2.15
O (0.5294, 0.8841, 0.7382)  1 Hf 2.03, 1 Mg 2.23
O (0.8439, 0.5754, 0.1167)  1 Hf 2.03, 1 Mg 2.22
O (0.9820, 0.5498, 0.5795)  1 Mg 2.06, 1 Cr 2.08, 1 Hf 2.14
O (0.9846, 0.0433, 0.5809)  1 Mg 2.05, 1 Cr 2.08, 1 Hf 2.15

## Properties
- Energy of formation from the pure elements: -33.242 eV/f.u.
- Mass density: 5.43 g cm⁻³
- Electronic total energy: -7.3999 eV/atom

No. 3
Entry from the Materials Project database: a geometry-optimized Li3Fe4CuO8 structure (GGA+U).

abc: 10.3782 5.9578 6.0344
angles: 90.00 125.33 90.00
Closest atoms and distances in Å follow each position.
Space group C2/m (No. 12)
Asymmetric unit:
Li (0.0000, 0.0000, 0.0000)  6 O 2.06-2.23
Li (0.2500, 0.2500, 0.5000)  6 O 2.16-2.20
Fe (0.0000, 0.0000, 0.5000)  6 O 2.18
Fe (0.0000, 0.5000, 0.0000)  6 O 2.06-2.07
Fe (0.2500, 0.2500, 0.0000)  6 O 2.04-2.08
Cu (0.0000, 0.5000, 0.5000)  6 O 2.01-2.18
O (0.0080, 0.2496, 0.7709)  3 Fe 2.05-2.18, 2 Li 2.06-2.19, 1 Cu 2.18
O (0.2375, 0.5000, 0.7564)  1 Cu 2.01, 2 Fe 2.04, 3 Li 2.20-2.23
O (0.2431, 0.5000, 0.2334)  4 Fe 2.06-2.18, 2 Li 2.16

## Properties
- Energy of formation from the pure elements: -27.279 eV/f.u.
- Mass density: 4.75 g cm⁻³
- Electronic total energy: -6.0030 eV/atom

No. 4
Entry from the Materials Project database: a geometry-optimized Mo2HO6 structure (GGA+U).

abc: 15.1913 3.8234 3.9049
angles: 90.00 90.02 90.00
Closest atoms and distances in Å follow each position.
Space group Cm (No. 8)
Asymmetric unit:
Mo (0.0000, 0.0000, 0.0000)  1 O 1.70
Mo (0.1824, 0.0000, 0.4993)  5 O 1.91-1.98
H (0.3361, 0.0000, 0.2850)  1 O 0.98
O (0.0149, 0.5000, 0.9992)  2 Mo 1.93
O (0.0308, 0.0000, 0.4999)  2 Mo 2.01
O (0.1634, 0.0000, 0.9998)  2 Mo 1.97-1.98
O (0.1688, 0.5000, 0.5002)  2 Mo 1.92
O (0.3083, 0.0000, 0.5121)  1 H 0.98
O (0.3880, 0.5000, 0.0127)  1 Mo 1.70

## Properties
- Energy of formation from the pure elements: -15.570 eV/f.u.
- Mass density: 4.23 g cm⁻³
- Electronic total energy: -6.6462 eV/atom

No. 5
Entry from the Materials Project database: a geometry-optimized CaMn2P4O14 structure (GGA+U).

abc: 5.0648 6.8908 9.0381
angles: 101.94 103.70 104.60
Closest atoms and distances in Å follow each position.
Space group P1 (No. 1)
Asymmetric unit:
Ca (0.0000, 0.0000, 0.0000)  3 O 2.19-2.45
Mn (0.3606, 0.6423, 0.8774)  4 O 1.95-1.98
Mn (0.9363, 0.1757, 0.6120)  3 O 1.89-1.97
P (0.4099, 0.2630, 0.4061)  4 O 1.50-1.63
P (0.5300, 0.1921, 0.8689)  4 O 1.52-1.61
P (0.8013, 0.6635, 0.6361)  4 O 1.50-1.59
P (0.9222, 0.6022, 0.1120)  4 O 1.47-1.64
O (0.0193, 0.5443, 0.6865)  1 P 1.57
O (0.0511, 0.6392, 0.2832)  1 P 1.47
O (0.1249, 0.6828, 0.0163)  1 P 1.56
O (0.2240, 0.2106, 0.5110)  1 P 1.52
O (0.2576, 0.2187, 0.2329)  1 P 1.50
O (0.2892, 0.2916, 0.8282)  1 P 1.55
O (0.4259, 0.9981, 0.9232)  1 P 1.53
O (0.5754, 0.5141, 0.4734)  2 P 1.59-1.63
O (0.6444, 0.1545, 0.4284)  1 P 1.55
O (0.6495, 0.6974, 0.7655)  1 P 1.55
O (0.6825, 0.7076, 0.0690)  1 P 1.58
O (0.6870, 0.1501, 0.7485)  1 P 1.52
O (0.7725, 0.3504, 0.0274)  2 P 1.61-1.64
O (0.9437, 0.8704, 0.6149)  1 P 1.50

## Properties
- Energy of formation from the pure elements: -54.609 eV/f.u.
- Mass density: 2.91 g cm⁻³
- Electronic total energy: -7.2814 eV/atom

No. 6
Entry from the Materials Project database: a geometry-optimized Sr6MgW4O18 structure (GGA+U).

abc: 6.9165 7.2905 9.1330
angles: 77.86 79.33 87.58
Closest atoms and distances in Å follow each position.
Space group P1 (No. 1)
Asymmetric unit:
Sr (0.0000, 0.0000, 0.0000)  4 O 2.42-2.63
Sr (0.1014, 0.9152, 0.5137)  5 O 2.43-2.72
Sr (0.2330, 0.4029, 0.2626)  5 O 2.49-2.75
Sr (0.4235, 0.2170, 0.7461)  4 O 2.45-2.65
Sr (0.6200, 0.6187, 0.4400)  6 O 2.46-2.73
Sr (0.7407, 0.5114, 0.0130)  5 O 2.40-2.64
Mg (0.6146, 0.8018, 0.7598)  4 O 1.97-2.20
W (0.0070, 0.4355, 0.6336)  3 O 1.82-1.88
W (0.2097, 0.6208, 0.8331)  4 O 1.88-2.04
W (0.5197, 0.9302, 0.1266)  3 O 1.86-2.01
W (0.6889, 0.0939, 0.3498)  4 O 1.85-2.03
O (0.0025, 0.5898, 0.4419)  1 W 1.88
O (0.0790, 0.6165, 0.0335)  1 W 1.88
O (0.0806, 0.3430, 0.8460)  2 W 2.06-2.22
O (0.1436, 0.2360, 0.5659)  1 W 1.85
O (0.2845, 0.5687, 0.6183)  2 W 2.04-2.16
O (0.3040, 0.8825, 0.7664)  1 W 1.98, 1 Mg 2.20
O (0.3228, 0.0704, 0.0403)  1 W 1.86
O (0.4235, 0.9634, 0.3515)  2 W 2.10
O (0.4803, 0.5510, 0.8590)  1 W 1.96, 1 Mg 2.04
O (0.4798, 0.6600, 0.1910)  1 W 1.95
O (0.5562, 0.2963, 0.4145)  1 W 1.85
O (0.6473, 0.1935, 0.1325)  2 W 2.03-2.16
O (0.6857, 0.9007, 0.9270)  1 Mg 1.97, 1 W 2.01
O (0.7029, 0.9283, 0.5414)  1 W 1.92, 1 Mg 2.01
O (0.7529, 0.3557, 0.6738)  1 W 1.82
O (0.7713, 0.8760, 0.2362)  2 W 2.08-2.15
O (0.9352, 0.6674, 0.7417)  2 W 2.13-2.20, 1 Mg 2.38
O (0.9493, 0.1731, 0.3075)  1 W 1.86

## Properties
- Energy of formation from the pure elements: -80.755 eV/f.u.
- Mass density: 5.90 g cm⁻³
- Electronic total energy: -7.0093 eV/atom

energy of formation from the pure elements of number 1 (Li5Fe2P2C2O14)? -57.831 eV/f.u.